Entry from Materials Project: an optimized crystal structure of Fe2S3 (PBE).

CIF file:
```
data_Fe2S3
_symmetry_space_group_name_H-M 'R -3 c'
_symmetry_Int_Tables_number 167
_symmetry_space_group_name_Hall '-R 3 2"c'
_cell_length_a 5.7353
_cell_length_b 5.7353
_cell_length_c 14.8261
_cell_angle_alpha 90.00
_cell_angle_beta 90.00
_cell_angle_gamma 120.00
loop_
_atom_site_label
_atom_site_type_symbol
_atom_site_fract_x
_atom_site_fract_y
_atom_site_fract_z
Fe1 Fe 0.0000 0.0000 0.1542
S1 S 0.0000 0.3174 0.2500
```

Its final energy is -6.26 eV per atom.


Entry from Materials Project: an optimized crystal structure of Ba9La2S12 (PBE).

CIF file:
```
data_Ba9La2S12
_symmetry_space_group_name_H-M 'C 1 2/m 1'
_symmetry_Int_Tables_number 12
_cell_length_a 7.802
_cell_length_b 13.513
_cell_length_c 14.816
_cell_angle_alpha 90.00
_cell_angle_beta 100.11
_cell_angle_gamma 90.00
loop_
_symmetry_equiv_pos_as_xyz
'x,y,z'
'-x,-y,-z'
'-x,y,-z'
'x,-y,z'
'x+1/2,y+1/2,z'
'-x+1/2,-y+1/2,-z'
'-x+1/2,y+1/2,-z'
'x+1/2,-y+1/2,z'
loop_
_atom_site_label
_atom_site_type_symbol
_atom_site_fract_x
_atom_site_fract_y
_atom_site_fract_z
Ba1 Ba 0.000 0.000 0.000
Ba2 Ba 0.000 0.331 0.000
Ba3 Ba 0.241 0.339 0.741
Ba4 Ba 0.242 0.500 0.259
La1 La 0.000 0.167 0.500
S1 S 0.094 0.000 0.388
S2 S 0.123 0.167 0.869
S3 S 0.124 0.500 0.873
S4 S 0.147 0.316 0.388
```

Its final energy is -5.41 eV per atom.


Entry from Materials Project: an optimized crystal structure of BaSrGdBiO6 (PBE).

CIF file:
```
data_BaSrGdBiO6
_symmetry_space_group_name_H-M 'P n n n'
_symmetry_Int_Tables_number 48
_cell_length_a 8.668
_cell_length_b 8.676
_cell_length_c 8.685
_cell_angle_alpha 90.00
_cell_angle_beta 90.00
_cell_angle_gamma 90.00
loop_
_symmetry_equiv_pos_as_xyz
'x,y,z'
'-x,-y,-z'
'-x+1/2,-y+1/2,z'
'x+1/2,y+1/2,-z'
'x,-y+1/2,-z+1/2'
'-x,y+1/2,z+1/2'
'-x+1/2,y,-z+1/2'
'x+1/2,-y,z+1/2'
loop_
_atom_site_label
_atom_site_type_symbol
_atom_site_fract_x
_atom_site_fract_y
_atom_site_fract_z
Ba1 Ba 0.250 0.250 0.250
Ba2 Ba 0.250 0.750 0.750
Sr1 Sr 0.250 0.250 0.750
Sr2 Sr 0.250 0.750 0.250
Gd1 Gd 0.000 0.000 0.000
Bi1 Bi 0.000 0.000 0.500
O1 O 0.027 0.243 0.470
O2 O 0.042 0.031 0.742
O3 O 0.242 0.536 0.039
```

Its final energy is -7.51 eV per atom.


Entry from Materials Project: an optimized crystal structure of LiBH2OF4 (PBE).

CIF file:
```
data_LiBH2OF4
_symmetry_space_group_name_H-M 'P n n a'
_symmetry_Int_Tables_number 52
_cell_length_a 10.329
_cell_length_b 13.465
_cell_length_c 5.183
_cell_angle_alpha 90.00
_cell_angle_beta 90.00
_cell_angle_gamma 90.00
loop_
_symmetry_equiv_pos_as_xyz
'x,y,z'
'-x,-y,-z'
'-x+1/2,-y,z'
'x+1/2,y,-z'
'x,-y+1/2,-z+1/2'
'-x,y+1/2,z+1/2'
'-x+1/2,y+1/2,-z+1/2'
'x+1/2,-y+1/2,z+1/2'
loop_
_atom_site_label
_atom_site_type_symbol
_atom_site_fract_x
_atom_site_fract_y
_atom_site_fract_z
Li1 Li 0.132 0.250 0.250
Li2 Li 0.250 0.000 0.031
B1 B 0.129 0.626 0.990
H1 H 0.039 0.101 0.040
H2 H 0.132 0.144 0.831
O1 O 0.128 0.124 0.013
F1 F 0.015 0.684 0.990
F2 F 0.128 0.561 0.206
F3 F 0.133 0.569 0.758
F4 F 0.240 0.687 0.999
```

Its final energy is -5.41 eV per atom.


Entry from Materials Project: an optimized crystal structure of Nd2Se3 (PBE).

CIF file:
```
data_Nd2Se3
_symmetry_space_group_name_H-M 'I -4 2 d'
_symmetry_Int_Tables_number 122
_symmetry_space_group_name_Hall 'I -4 2bw'
_cell_length_a 8.949
_cell_length_b 8.949
_cell_length_c 26.811
_cell_angle_alpha 90.00
_cell_angle_beta 90.00
_cell_angle_gamma 90.00
loop_
_atom_site_label
_atom_site_type_symbol
_atom_site_fract_x
_atom_site_fract_y
_atom_site_fract_z
Nd1 Nd 0.000 0.000 0.167
Nd2 Nd 0.120 0.750 0.625
Nd3 Nd 0.134 0.743 0.960
Se1 Se 0.072 0.675 0.183
Se2 Se 0.074 0.680 0.854
Se3 Se 0.080 0.672 0.516
```

Its final energy is -5.89 eV per atom.


Entry from Materials Project: an optimized crystal structure of Na3ScAlP3O12 (PBE).

CIF file:
```
data_Na3ScAlP3O12
_symmetry_space_group_name_H-M 'P 1'
_symmetry_Int_Tables_number 1
_cell_length_a 8.792
_cell_length_b 8.800
_cell_length_c 22.094
_cell_angle_alpha 89.96
_cell_angle_beta 89.99
_cell_angle_gamma 60.05
loop_
_symmetry_equiv_pos_as_xyz
'x,y,z'
loop_
_atom_site_label
_atom_site_type_symbol
_atom_site_fract_x
_atom_site_fract_y
_atom_site_fract_z
Na1 Na 0.000 0.000 0.000
Na2 Na 0.000 0.001 0.500
Na3 Na 0.002 0.365 0.752
Na4 Na 0.002 0.636 0.251
Na5 Na 0.301 0.667 0.083
Na6 Na 0.303 0.031 0.584
Na7 Na 0.325 0.322 0.168
Na8 Na 0.325 0.353 0.669
Na9 Na 0.331 0.700 0.416
Na10 Na 0.332 0.966 0.917
Na11 Na 0.636 0.000 0.752
Na12 Na 0.637 0.363 0.251
Na13 Na 0.666 0.667 0.332
Na14 Na 0.667 0.667 0.835
Na15 Na 0.668 0.303 0.584
Na16 Na 0.669 0.029 0.084
Na17 Na 0.696 0.969 0.417
Na18 Na 0.698 0.336 0.917
Sc1 Sc 0.002 0.007 0.151
Sc2 Sc 0.002 0.991 0.652
Sc3 Sc 0.325 0.339 0.516
Sc4 Sc 0.662 0.666 0.689
Sc5 Sc 0.674 0.660 0.480
Sc6 Sc 0.674 0.666 0.980
Al1 Al 0.001 0.005 0.350
Al2 Al 0.001 0.993 0.854
Al3 Al 0.326 0.336 0.018
Al4 Al 0.332 0.329 0.316
Al5 Al 0.332 0.339 0.817
Al6 Al 0.663 0.673 0.185
P1 P 0.003 0.295 0.253
P2 P 0.011 0.703 0.756
P3 P 0.044 0.630 0.411
P4 P 0.052 0.328 0.915
P5 P 0.289 0.006 0.756
P6 P 0.298 0.705 0.253
P7 P 0.322 0.047 0.414
P8 P 0.322 0.622 0.917
P9 P 0.371 0.667 0.582
P10 P 0.379 0.962 0.084
P11 P 0.621 0.053 0.916
P12 P 0.630 0.326 0.413
P13 P 0.662 0.378 0.085
P14 P 0.668 0.961 0.583
P15 P 0.700 0.001 0.253
P16 P 0.703 0.289 0.756
P17 P 0.962 0.372 0.586
P18 P 0.962 0.657 0.086
O1 O 0.023 0.817 0.405
O2 O 0.030 0.161 0.910
O3 O 0.036 0.185 0.196
O4 O 0.038 0.779 0.697
O5 O 0.135 0.512 0.356
O6 O 0.136 0.354 0.858
O7 O 0.148 0.348 0.580
O8 O 0.148 0.494 0.077
O9 O 0.157 0.553 0.469
O10 O 0.162 0.020 0.405
O11 O 0.162 0.811 0.910
O12 O 0.163 0.322 0.262
O13 O 0.169 0.298 0.971
O14 O 0.170 0.516 0.763
O15 O 0.181 0.040 0.697
O16 O 0.182 0.780 0.196
O17 O 0.192 0.835 0.589
O18 O 0.195 0.980 0.811
O19 O 0.197 0.976 0.091
O20 O 0.205 0.824 0.308
O21 O 0.296 0.146 0.474
O22 O 0.300 0.539 0.976
O23 O 0.310 0.172 0.762
O24 O 0.319 0.518 0.260
O25 O 0.358 0.142 0.362
O26 O 0.358 0.499 0.578
O27 O 0.358 0.500 0.863
O28 O 0.365 0.144 0.076
O29 O 0.453 0.696 0.525
O30 O 0.454 0.850 0.026
O31 O 0.476 0.845 0.751
O32 O 0.484 0.682 0.244
O33 O 0.489 0.643 0.921
O34 O 0.490 0.637 0.638
O35 O 0.491 0.862 0.418
O36 O 0.492 0.362 0.078
O37 O 0.501 0.146 0.580
O38 O 0.502 0.869 0.138
O39 O 0.503 0.139 0.860
O40 O 0.505 0.358 0.359
O41 O 0.518 0.168 0.262
O42 O 0.520 0.307 0.763
O43 O 0.537 0.167 0.974
O44 O 0.556 0.292 0.472
O45 O 0.633 0.497 0.141
O46 O 0.636 0.870 0.920
O47 O 0.638 0.878 0.641
O48 O 0.641 0.495 0.418
O49 O 0.690 0.458 0.026
O50 O 0.690 0.830 0.244
O51 O 0.690 0.854 0.526
O52 O 0.692 0.470 0.751
O53 O 0.777 0.040 0.195
O54 O 0.778 0.181 0.697
O55 O 0.806 0.036 0.910
O56 O 0.813 0.159 0.405
O57 O 0.820 0.190 0.090
O58 O 0.827 0.965 0.307
O59 O 0.828 0.988 0.588
O60 O 0.829 0.195 0.810
O61 O 0.833 0.480 0.245
O62 O 0.841 0.687 0.751
O63 O 0.843 0.698 0.031
O64 O 0.844 0.459 0.531
O65 O 0.858 0.655 0.417
O66 O 0.864 0.488 0.920
O67 O 0.873 0.635 0.144
O68 O 0.880 0.478 0.644
O69 O 0.964 0.204 0.307
O70 O 0.973 0.832 0.809
O71 O 0.980 0.188 0.590
O72 O 0.984 0.822 0.092
```

Its final energy is -7.03 eV per atom.


Entry from Materials Project: an optimized crystal structure of Na3N (PBE).

CIF file:
```
data_Na3N
_symmetry_space_group_name_H-M 'P 63 c m'
_symmetry_Int_Tables_number 185
_symmetry_space_group_name_Hall 'P 6c -2'
_cell_length_a 7.7259
_cell_length_b 7.7259
_cell_length_c 7.7976
_cell_angle_alpha 90.00
_cell_angle_beta 90.00
_cell_angle_gamma 120.00
loop_
_atom_site_label
_atom_site_type_symbol
_atom_site_fract_x
_atom_site_fract_y
_atom_site_fract_z
Na1 Na 0.0000 0.0000 0.0000
Na2 Na 0.0000 0.2843 0.2175
Na3 Na 0.0000 0.3803 0.8598
Na4 Na 0.3333 0.6667 0.0613
N1 N 0.0000 0.3276 0.5405
```

Its final energy is -2.76 eV per atom.


Entry from Materials Project: an optimized crystal structure of SrLiPO4 (PBE).

CIF file:
```
data_SrLiPO4
_symmetry_space_group_name_H-M 'P 63'
_symmetry_Int_Tables_number 173
_cell_length_a 5.0837
_cell_length_b 5.0837
_cell_length_c 8.4413
_cell_angle_alpha 90.00
_cell_angle_beta 90.00
_cell_angle_gamma 120.00
loop_
_symmetry_equiv_pos_as_xyz
'x,y,z'
'x-y,x,z+1/2'
'-y,x-y,z'
'-x,-y,z+1/2'
'-x+y,-x,z'
'y,-x+y,z+1/2'
loop_
_atom_site_label
_atom_site_type_symbol
_atom_site_fract_x
_atom_site_fract_y
_atom_site_fract_z
Sr1 Sr 0.0000 0.0000 0.0000
Li1 Li 0.3333 0.6667 0.1917
P1 P 0.3333 0.6667 0.7881
O1 O 0.0590 0.6968 0.7318
O2 O 0.3333 0.6667 0.9716
```

Its final energy is -6.80 eV per atom.


Entry from Materials Project: an optimized crystal structure of La2Ti3O9 (PBE).

CIF file:
```
data_La2Ti3O9
_symmetry_space_group_name_H-M 'P 63/m'
_symmetry_Int_Tables_number 176
_symmetry_space_group_name_Hall '-P 6c'
_cell_length_a 7.0101
_cell_length_b 7.0101
_cell_length_c 10.6972
_cell_angle_alpha 90.00
_cell_angle_beta 90.00
_cell_angle_gamma 120.00
loop_
_atom_site_label
_atom_site_type_symbol
_atom_site_fract_x
_atom_site_fract_y
_atom_site_fract_z
La1 La 0.3333 0.6667 0.0407
Ti1 Ti 0.0748 0.3054 0.7500
O1 O 0.0636 0.4396 0.6083
O2 O 0.0730 0.2823 0.2500
```

Its final energy is -8.77 eV per atom.


Entry from Materials Project: an optimized crystal structure of PaRh3 (PBE).

CIF file:
```
data_PaRh3
_symmetry_space_group_name_H-M 'P m -3 m'
_symmetry_Int_Tables_number 221
_symmetry_space_group_name_Hall '-P 4 2 3'
_cell_length_a 4.065
_cell_length_b 4.065
_cell_length_c 4.065
_cell_angle_alpha 90.00
_cell_angle_beta 90.00
_cell_angle_gamma 90.00
loop_
_atom_site_label
_atom_site_type_symbol
_atom_site_fract_x
_atom_site_fract_y
_atom_site_fract_z
Pa1 Pa 0.000 0.000 0.000
Rh1 Rh 0.000 0.500 0.500
```

Its final energy is -8.79 eV per atom.


Going through the records in order, we get theoretical density values of 4.904, 4.100, 6.989, 2.060, 6.502, 2.865, 2.051, 3.332, 4.125, 13.347 g/cm3.